## MgSi2 (GGA-PBE)

Data for an optimized crystal structure of MgSi2.

The calculation puts the energy relative to the elements at 0.30 eV per formula unit. The value obtained for the raw total energy is -4.10 eV/atom. As for the excess energy over the best structure of this formula in the dataset: 0.07 eV/f.u.

The space group is P2_1/c (No. 14) and the conventional cell measures 9.8340, 3.7319 and 6.4651 Å, with angles of 90.00, 102.22 and 90.00 degrees. The asymmetric unit holds Mg at (0.2498, 0.0079, 0.0836), Si at (0.0516, 0.5095, 0.8504) and Si at (0.4470, 0.5024, 0.3163).